Entry 1:
Compound: K2CuCl2F2
Source: the Materials Project
Functional: PBE-GGA
Structure: relaxed

Cell: 14.937 6.338 6.337 Å, 90.00 90.00 90.00°
Space group Cmce (No. 64)
Unique sites:
K (0.123, 0.000, 0.000)
Cu (0.000, 0.000, 0.500)
Cl (0.156, 0.000, 0.500)
F (0.000, 0.214, 0.286)

Properties
Mass density: 2.8 g/cm3
Energy of formation from the pure elements: -1.960 eV/atom
Polymorph energy (0 for the lowest one): 0 meV/atom

Entry 2:
Compound: Ga2CuCl8
Source: the Materials Project
Functional: PBE-GGA
Structure: relaxed

Cell: 6.911 7.740 12.772 Å, 90.00 95.76 90.00°
Space group P2_1/c (No. 14)
Unique sites:
Ga (0.191, 0.239, 0.183)
Cu (0.000, 0.000, 0.500)
Cl (0.107, 0.734, 0.910)
Cl (0.167, 0.223, 0.849)
Cl (0.290, 0.012, 0.606)
Cl (0.354, 0.022, 0.138)

Properties
Mass density: 2.4 g/cm3
Energy of formation from the pure elements: -1.398 eV/atom

| no. | final energy (eV/atom) | V (Å³ per atom) |
| --- | --- | --- |
| 1 | -3.81 | 21.43 |
| 2 | -3.22 | 30.90 |